First-principles (GGA-PBE) data for a geometry-optimized Na6Zr4Sc4Si5S7O48 structure, as listed in the Materials Project database.

Unit cell a=9.0087 b=15.6347 c=23.4460 alpha=90.13 beta=90.01 gamma=90.04
Last column: nearest neighbours and their distance in Å.
Space group P1 (No. 1)
Asymmetric unit:
1 Na 0.0000 0.0000 0.0000 x1  4 O 2.44-2.69
2 Na 0.0004 0.3342 0.6688 x1  4 O 2.47-2.72
3 Na 0.0045 0.6734 0.3235 x1  3 O 2.40-2.67
4 Na 0.1292 0.4909 0.7459 x1  4 O 2.36-2.54
5 Na 0.3653 0.9906 0.2467 x1  4 O 2.28-2.55
6 Na 0.4766 0.1752 0.8296 x1  4 O 2.47-2.73
7 Na 0.4888 0.4992 0.4941 x1  6 O 2.53-2.82
8 Na 0.4949 0.8264 0.1737 x1  3 O 2.41-2.48
9 Na 0.5018 0.8236 0.6580 x1  4 O 2.46-2.74
10 Na 0.5031 0.4969 0.9979 x1  6 O 2.53-2.76
11 Na 0.5089 0.1674 0.3302 x1  6 O 2.56-2.86
12 Na 0.6273 0.9954 0.7423 x1  5 O 2.38-2.57
13 Na 0.6342 0.6587 0.0797 x1  4 O 2.38-2.55
14 Na 0.8546 0.1600 0.5720 x1  6 O 2.40-2.68
15 Na 0.8574 0.4979 0.2436 x1  3 O 2.27-2.53
16 Na 0.9836 0.6664 0.8329 x1  5 O 2.50-2.77
17 Na 0.9900 0.3264 0.1608 x1  6 O 2.54-2.74
18 Na 0.9911 0.9964 0.4922 x1  3 O 2.42-2.62
19 Zr 0.0082 0.9952 0.8558 x1  3 O 1.94-2.16
20 Zr 0.4887 0.5012 0.3524 x1  4 O 1.99-2.15
21 Zr 0.4953 0.1602 0.9790 x1  6 O 1.98-2.22
22 Zr 0.5023 0.8230 0.5185 x1  4 O 1.98-2.15
23 Zr 0.5071 0.4932 0.6462 x1  3 O 1.95-2.07
24 Zr 0.5075 0.1596 0.4722 x1  4 O 1.96-2.13
25 Zr 0.5094 0.4945 0.8479 x1  3 O 1.96-2.06
26 Zr 0.9833 0.9950 0.3469 x1  3 O 1.95-2.09
27 Zr 0.9839 0.9931 0.1468 x1  3 O 1.94-2.10
28 Zr 0.9849 0.6600 0.9745 x1  5 O 1.99-2.19
29 Zr 0.9906 0.3224 0.0200 x1  5 O 1.98-2.19
30 Zr 0.9940 0.6589 0.4769 x1  6 O 2.00-2.21
31 Sc 0.0033 0.3189 0.3173 x1  2 O 1.90-1.92
32 Sc 0.0088 0.3268 0.5085 x1  2 O 1.88-1.97
33 Sc 0.0097 0.3251 0.8088 x1  3 O 1.95-2.10
34 Sc 0.4838 0.8245 0.0110 x1  2 O 1.91-1.96
35 Sc 0.4873 0.8178 0.3042 x1  4 O 1.97-2.11
36 Sc 0.4901 0.1650 0.6811 x1  4 O 2.00-2.13
37 Sc 0.4904 0.8176 0.8178 x1  2 O 1.90
38 Sc 0.5056 0.4985 0.1447 x1  2 O 1.91-2.02
39 Sc 0.5164 0.1623 0.1823 x1  2 O 1.89-1.99
40 Sc 0.9760 0.6604 0.6817 x1  2 O 1.89-2.00
41 Sc 0.9895 0.9916 0.6413 x1  5 O 1.94-2.18
42 Sc 0.9906 0.6626 0.1857 x1  6 O 2.01-2.24
43 Si 0.1394 0.8473 0.2462 x1  4 O 1.61-1.67
44 Si 0.1453 0.1863 0.9126 x1  4 O 1.61-1.67
45 Si 0.2056 0.8246 0.9138 x1  4 O 1.62-1.67
46 Si 0.2910 0.3278 0.4132 x1  4 O 1.63-1.65
47 Si 0.3479 0.6858 0.4131 x1  4 O 1.60-1.66
48 Si 0.3532 0.3463 0.7463 x1  4 O 1.64-1.66
49 Si 0.6365 0.6801 0.9153 x1  4 O 1.64-1.66
50 Si 0.6376 0.0164 0.5842 x1  4 O 1.63-1.68
51 Si 0.6440 0.6395 0.2455 x1  4 O 1.61-1.66
52 Si 0.6938 0.9962 0.2476 x1  4 O 1.61-1.65
53 Si 0.7008 0.6584 0.5800 x1  4 O 1.63-1.65
54 Si 0.7906 0.1571 0.0797 x1  4 O 1.62-1.65
55 Si 0.7975 0.4943 0.7474 x1  4 O 1.62-1.65
56 Si 0.8516 0.5155 0.0830 x1  4 O 1.62-1.67
57 Si 0.8584 0.1800 0.4153 x1  4 O 1.62-1.66
58 S 0.1398 0.5142 0.5814 x1  4 O 1.48-1.50
59 S 0.1396 0.8066 0.5817 x1  4 O 1.47-1.50
60 S 0.1420 0.1429 0.2456 x1  4 O 1.48-1.50
61 S 0.1430 0.4724 0.9130 x1  4 O 1.48-1.50
62 S 0.2019 0.1618 0.5810 x1  4 O 1.47-1.51
63 S 0.2030 0.4922 0.2455 x1  4 O 1.47-1.50
64 S 0.2867 0.6618 0.0806 x1  4 O 1.47-1.51
65 S 0.2881 0.9936 0.7455 x1  4 O 1.47-1.50
66 S 0.3493 0.9716 0.4132 x1  4 O 1.46-1.51
67 S 0.3501 0.6427 0.7457 x1  4 O 1.48-1.49
68 S 0.3522 0.0141 0.0812 x1  4 O 1.48-1.52
69 S 0.3523 0.3072 0.0816 x1  4 O 1.47-1.51
70 S 0.6400 0.9739 0.9117 x1  4 O 1.47-1.50
71 S 0.6417 0.3497 0.2472 x1  4 O 1.48-1.50
72 S 0.6428 0.3071 0.5799 x1  4 O 1.48-1.49
73 S 0.7058 0.3268 0.9130 x1  4 O 1.46-1.50
74 S 0.7869 0.8277 0.4134 x1  4 O 1.45-1.50
75 S 0.8486 0.8075 0.0794 x1  4 O 1.48-1.49
76 S 0.8500 0.1386 0.7457 x1  4 O 1.47-1.50
77 S 0.8508 0.4729 0.4126 x1  4 O 1.48-1.51
78 S 0.8505 0.8509 0.7468 x1  4 O 1.48-1.50
79 O 0.0669 0.4295 0.5755 x1  1 S 1.48
80 O 0.0674 0.7533 0.2394 x1  1 Si 1.61
81 O 0.0681 0.0896 0.9056 x1  1 Si 1.67
82 O 0.0693 0.8979 0.3024 x1  1 Si 1.66
83 O 0.0715 0.8935 0.5873 x1  1 S 1.50
84 O 0.0722 0.2284 0.2508 x1  1 S 1.48
85 O 0.0727 0.2295 0.9693 x1  1 Si 1.63
86 O 0.0752 0.7662 0.5297 x1  1 S 1.49
87 O 0.0761 0.1012 0.1942 x1  1 S 1.49
88 O 0.0765 0.5597 0.9199 x1  1 S 1.50
89 O 0.0777 0.4362 0.8600 x1  1 S 1.49
90 O 0.0821 0.5565 0.6339 x1  1 S 1.49
91 O 0.0942 0.9093 0.9054 x1  1 Si 1.67
92 O 0.1002 0.2375 0.5773 x1  1 S 1.50
93 O 0.0995 0.4175 0.2517 x1  1 S 1.50
94 O 0.1018 0.7402 0.9213 x1  1 Si 1.63
95 O 0.1042 0.0841 0.5881 x1  1 S 1.51
96 O 0.1080 0.5685 0.5301 x1  1 S 1.50
97 O 0.1104 0.4197 0.9637 x1  1 S 1.48
98 O 0.1098 0.9116 0.1906 x1  1 Si 1.67
99 O 0.1111 0.5709 0.2421 x1  1 S 1.49
100 O 0.1121 0.2411 0.8559 x1  1 Si 1.61
101 O 0.1138 0.7546 0.6330 x1  1 S 1.47
102 O 0.1159 0.0890 0.2973 x1  1 S 1.50
103 O 0.1676 0.6710 0.4236 x1  1 Si 1.66
104 O 0.1712 0.3419 0.7511 x1  1 Si 1.64
105 O 0.1851 0.9819 0.4094 x1  1 S 1.49
106 O 0.1871 0.6494 0.7391 x1  1 S 1.48
107 O 0.1880 0.0060 0.0839 x1  1 S 1.49
108 O 0.1876 0.3146 0.3569 x1  1 Si 1.63
109 O 0.1883 0.3164 0.0739 x1  1 S 1.50
110 O 0.1893 0.3455 0.4700 x1  1 Si 1.64
111 O 0.1934 0.0037 0.7974 x1  1 S 1.49
112 O 0.1935 0.9837 0.6948 x1  1 S 1.47
113 O 0.1953 0.6531 0.0283 x1  1 S 1.48
114 O 0.1954 0.6736 0.1318 x1  1 S 1.47
115 O 0.2927 0.1501 0.5298 x1  1 S 1.47
116 O 0.2949 0.1736 0.6328 x1  1 S 1.49
117 O 0.2966 0.4793 0.1946 x1  1 S 1.47
118 O 0.2972 0.5014 0.2978 x1  1 S 1.50
119 O 0.3030 0.8181 0.5748 x1  1 S 1.49
120 O 0.3038 0.5059 0.5848 x1  1 S 1.48
121 O 0.3040 0.8156 0.8559 x1  1 Si 1.63
122 O 0.3050 0.1493 0.2390 x1  1 S 1.48
123 O 0.3050 0.8461 0.9697 x1  1 Si 1.62
124 O 0.3065 0.4821 0.9079 x1  1 S 1.49
125 O 0.3197 0.8472 0.2508 x1  1 Si 1.63
126 O 0.3255 0.1706 0.9207 x1  1 Si 1.65
127 O 0.3763 0.5887 0.7973 x1  1 S 1.49
128 O 0.3763 0.7428 0.3575 x1  1 Si 1.60
129 O 0.3773 0.2539 0.1323 x1  1 S 1.47
130 O 0.3794 0.4102 0.6908 x1  1 Si 1.66
131 O 0.3824 0.9200 0.4648 x1  1 S 1.49
132 O 0.3832 0.5834 0.0844 x1  1 S 1.51
133 O 0.3836 0.0689 0.0294 x1  1 S 1.52
134 O 0.3837 0.0720 0.7423 x1  1 S 1.50
135 O 0.3893 0.9185 0.7512 x1  1 S 1.49
136 O 0.3901 0.2406 0.4231 x1  1 Si 1.65
137 O 0.3906 0.7376 0.0757 x1  1 S 1.51
138 O 0.4024 0.4098 0.4053 x1  1 Si 1.64
139 O 0.4098 0.0568 0.1333 x1  1 S 1.48
140 O 0.4144 0.9367 0.3609 x1  1 S 1.46
141 O 0.4147 0.0597 0.4215 x1  1 S 1.51
142 O 0.4150 0.2646 0.0291 x1  1 S 1.51
143 O 0.4156 0.6009 0.6943 x1  1 S 1.49
144 O 0.4192 0.7301 0.4707 x1  1 Si 1.65
145 O 0.4200 0.3928 0.0859 x1  1 S 1.47
146 O 0.4201 0.7284 0.7508 x1  1 S 1.49
147 O 0.4206 0.3965 0.8026 x1  1 Si 1.65
148 O 0.4230 0.5894 0.4085 x1  1 Si 1.66
149 O 0.4253 0.9302 0.0743 x1  1 S 1.48
150 O 0.4287 0.2517 0.7394 x1  1 Si 1.64
151 O 0.5587 0.5851 0.9089 x1  1 Si 1.65
152 O 0.5647 0.9222 0.5742 x1  1 Si 1.63
153 O 0.5720 0.7337 0.2504 x1  1 Si 1.61
154 O 0.5731 0.0612 0.9183 x1  1 S 1.50
155 O 0.5726 0.3929 0.5855 x1  1 S 1.49
156 O 0.5743 0.2633 0.2412 x1  1 S 1.49
157 O 0.5744 0.5950 0.1873 x1  1 Si 1.65
158 O 0.5752 0.7249 0.9738 x1  1 Si 1.64
159 O 0.5756 0.0596 0.6435 x1  1 Si 1.64
160 O 0.5779 0.2671 0.5282 x1  1 S 1.48
161 O 0.5784 0.9364 0.8584 x1  1 S 1.49
162 O 0.5786 0.3890 0.2991 x1  1 S 1.48
163 O 0.5843 0.0803 0.2413 x1  1 Si 1.65
164 O 0.5895 0.9135 0.2542 x1  1 Si 1.61
165 O 0.5926 0.5744 0.5849 x1  1 Si 1.64
166 O 0.5977 0.7452 0.5751 x1  1 Si 1.65
167 O 0.6070 0.4038 0.9094 x1  1 S 1.50
168 O 0.6078 0.2497 0.9200 x1  1 S 1.50
169 O 0.6112 0.4024 0.1956 x1  1 S 1.49
170 O 0.6113 0.5733 0.2991 x1  1 Si 1.66
171 O 0.6108 0.7391 0.8586 x1  1 Si 1.64
172 O 0.6131 0.0817 0.5301 x1  1 Si 1.64
173 O 0.6135 0.2532 0.6310 x1  1 S 1.49
174 O 0.6138 0.9217 0.9627 x1  1 S 1.47
175 O 0.6672 0.5082 0.0853 x1  1 Si 1.67
176 O 0.6749 0.1687 0.4190 x1  1 Si 1.66
177 O 0.6820 0.1487 0.0232 x1  1 Si 1.65
178 O 0.6851 0.1441 0.7410 x1  1 S 1.49
179 O 0.6851 0.8161 0.0734 x1  1 S 1.49
180 O 0.6848 0.8460 0.7510 x1  1 S 1.50
181 O 0.6862 0.1727 0.1352 x1  1 Si 1.62
182 O 0.6872 0.4828 0.4084 x1  1 S 1.49
183 O 0.6880 0.4835 0.6915 x1  1 Si 1.65
184 O 0.6890 0.5118 0.8026 x1  1 Si 1.64
185 O 0.6961 0.8401 0.4661 x1  1 S 1.49
186 O 0.6978 0.8167 0.3624 x1  1 S 1.45
187 O 0.7954 0.3159 0.8615 x1  1 S 1.46
188 O 0.7970 0.3393 0.9652 x1  1 S 1.49
189 O 0.8034 0.0138 0.3026 x1  1 Si 1.65
190 O 0.8032 0.9852 0.1916 x1  1 Si 1.65
191 O 0.8048 0.6737 0.6362 x1  1 Si 1.63
192 O 0.8046 0.9850 0.9050 x1  1 S 1.50
193 O 0.8068 0.3151 0.5753 x1  1 S 1.49
194 O 0.8078 0.3446 0.2516 x1  1 S 1.50
195 O 0.8100 0.6488 0.5243 x1  1 Si 1.64
196 O 0.8191 0.6689 0.9189 x1  1 Si 1.66
197 O 0.8237 0.0100 0.5897 x1  1 Si 1.68
198 O 0.8264 0.6420 0.2423 x1  1 Si 1.65
199 O 0.8766 0.7541 0.1302 x1  1 S 1.48
200 O 0.8792 0.0820 0.7955 x1  1 S 1.49
201 O 0.8815 0.9050 0.6956 x1  1 S 1.49
202 O 0.8817 0.4216 0.4640 x1  1 S 1.48
203 O 0.8816 0.5797 0.0280 x1  1 Si 1.66
204 O 0.8835 0.2396 0.3594 x1  1 Si 1.62
205 O 0.8845 0.7506 0.4212 x1  1 S 1.50
206 O 0.8861 0.9047 0.4105 x1  1 S 1.50
207 O 0.8934 0.2441 0.0747 x1  1 Si 1.65
208 O 0.8992 0.0736 0.0833 x1  1 Si 1.63
209 O 0.9007 0.4099 0.7534 x1  1 Si 1.62
210 O 0.9093 0.5775 0.7411 x1  1 Si 1.65
211 O 0.9117 0.8934 0.7983 x1  1 S 1.48
212 O 0.9133 0.4358 0.3598 x1  1 S 1.48
213 O 0.9142 0.0985 0.6933 x1  1 S 1.50
214 O 0.9143 0.2244 0.7521 x1  1 S 1.47
215 O 0.9142 0.7679 0.0273 x1  1 S 1.49
216 O 0.9161 0.2237 0.4753 x1  1 Si 1.65
217 O 0.9189 0.5578 0.1407 x1  1 Si 1.62
218 O 0.9192 0.5605 0.4193 x1  1 S 1.51
219 O 0.9195 0.7656 0.7413 x1  1 S 1.48
220 O 0.9192 0.8937 0.0843 x1  1 S 1.49
221 O 0.9271 0.4214 0.0714 x1  1 Si 1.64
222 O 0.9345 0.0847 0.4102 x1  1 Si 1.65

Calculated values
Spin magnetization ... 0.00 μB/cell
Calculated total energy ... -7.25 eV per atom
Formation energy from the elements ... -2.8140 eV per atom